# Lu5In4Ni2

Crystalline Lu5In4Ni2 at its relaxed geometry (meta-GGA r2SCAN, the Materials Project database).

```
Lu5In4Ni2
1.0
3.5208 0.0000 0.0000
0.0000 7.7727 0.0000
0.0000 0.0000 17.4801
Lu In Ni
10 8 4
Direct
0.0000 0.8851 0.0882 Lu
0.0000 0.7543 0.2790 Lu
0.0000 0.7457 0.7790 Lu
0.0000 0.3851 0.4118 Lu
0.0000 0.1149 0.9118 Lu
0.0000 0.2457 0.7210 Lu
0.0000 0.5000 0.0000 Lu
0.0000 0.2543 0.2210 Lu
0.0000 0.6149 0.5882 Lu
0.0000 0.0000 0.5000 Lu
0.5000 0.2063 0.0682 In
0.5000 0.4253 0.8481 In
0.5000 0.5747 0.1519 In
0.5000 0.0747 0.3481 In
0.5000 0.9253 0.6519 In
0.5000 0.7937 0.9318 In
0.5000 0.7063 0.4318 In
0.5000 0.2937 0.5682 In
0.5000 0.9730 0.1959 Ni
0.5000 0.0270 0.8041 Ni
0.5000 0.5270 0.6959 Ni
0.5000 0.4730 0.3041 Ni
```

Computed properties:
The crystal system is orthorhombic. Its space group is Pbam (55). The energy of formation comes out at -58.3 kJ per mole of atoms.



# DyCdAg2

Crystalline DyCdAg2 at its relaxed geometry (meta-GGA r2SCAN, the Materials Project database).

```
DyCdAg2
1.0
0.0000 3.4628 3.4628
3.4628 0.0000 3.4628
3.4628 3.4628 0.0000
Dy Cd Ag
1 1 2
Direct
0.7500 0.7500 0.7500 Dy
0.2500 0.2500 0.2500 Cd
0.5000 0.5000 0.5000 Ag
0.0000 0.0000 0.0000 Ag
```

Computed properties:
The crystal system is cubic. Its space group is Fm-3m (225). The energy of formation comes out at -28.5 kJ per mole of atoms.



# CaCrF6

Crystalline CaCrF6 at its relaxed geometry (meta-GGA r2SCAN, the Materials Project database).

```
CaCrF6
1.0
4.6887 0.0741 3.1108
1.7073 4.3740 3.1128
0.0962 0.0689 5.6397
Ca Cr F
1 1 6
Direct
0.5000 0.5000 0.5000 Ca
0.0000 0.0000 0.0000 Cr
0.3529 0.0854 0.7860 F
0.0862 0.7849 0.3530 F
0.2157 0.6473 0.9143 F
0.9138 0.2151 0.6470 F
0.6471 0.9146 0.2140 F
0.7843 0.3527 0.0857 F
```

Computed properties:
The crystal system is triclinic. Its space group is P-1 (2). The energy of formation comes out at -316.6 kJ per mole of atoms.



# Zr6FeSb2

Crystalline Zr6FeSb2 at its relaxed geometry (meta-GGA r2SCAN, the Materials Project database).

```
Zr6FeSb2
1.0
7.7796 0.0000 0.0000
-3.8898 6.7373 0.0000
0.0000 0.0000 3.6909
Zr Fe Sb
6 1 2
Direct
0.5967 0.0000 0.5000 Zr
0.0000 0.2392 0.0000 Zr
0.7609 0.7608 0.0000 Zr
0.4033 0.4033 0.5000 Zr
0.0000 0.5967 0.5000 Zr
0.2391 0.0000 0.0000 Zr
0.0000 0.0000 0.5000 Fe
0.3333 0.6666 0.0000 Sb
0.6667 0.3334 0.0000 Sb
```

Computed properties:
The crystal system is hexagonal. Its space group is P-62m (189). The energy of formation comes out at -52.9 kJ per mole of atoms.



# Ce3B2N4

Crystalline Ce3B2N4 at its relaxed geometry (meta-GGA r2SCAN, the Materials Project database).

```
Ce3B2N4
1.0
-0.0396 -0.8821 -3.4113
-4.0186 -4.6230 1.2421
-2.0339 6.0667 0.2747
Ce B N
3 2 4
Direct
0.1994 0.6994 0.3987 Ce
0.8006 0.3006 0.6013 Ce
0.0000 0.0000 0.0000 Ce
0.5000 0.3587 0.0000 B
0.5000 0.6413 0.0000 B
0.6214 0.3624 0.2428 N
0.6214 0.8804 0.2428 N
0.3786 0.1196 0.7572 N
0.3786 0.6376 0.7572 N
```

Computed properties:
The crystal system is orthorhombic. Its space group is Immm (71). The energy of formation comes out at -152.8 kJ per mole of atoms.



# TmB4

Crystalline TmB4 at its relaxed geometry (meta-GGA r2SCAN, the Materials Project database).

```
TmB4
1.0
3.9765 0.0000 0.0000
0.0000 7.0396 0.0000
0.0000 0.0000 7.0396
Tm B
4 16
Direct
0.0000 0.6812 0.1812 Tm
0.0000 0.3188 0.8188 Tm
0.0000 0.8188 0.6812 Tm
0.0000 0.1812 0.3188 Tm
0.5000 0.4132 0.0868 B
0.7977 0.5000 0.5000 B
0.5000 0.8234 0.9617 B
0.5000 0.5383 0.6766 B
0.2023 0.5000 0.5000 B
0.5000 0.4617 0.3234 B
0.2023 0.0000 0.0000 B
0.5000 0.1766 0.0383 B
0.5000 0.3234 0.5383 B
0.5000 0.0383 0.8234 B
0.5000 0.0868 0.5868 B
0.5000 0.6766 0.4617 B
0.5000 0.9132 0.4132 B
0.5000 0.5868 0.9132 B
0.5000 0.9617 0.1766 B
0.7977 0.0000 0.0000 B
```

Computed properties:
The crystal system is tetragonal. Its space group is P4/mbm (127). The energy of formation comes out at -62.5 kJ per mole of atoms.



# CeMg2

Crystalline CeMg2 at its relaxed geometry (meta-GGA r2SCAN, the Materials Project database).

```
CeMg2
1.0
-1.4158 6.3589 -6.4118
0.9398 -3.8866 8.2196
5.0550 1.0373 -0.0875
Ce Mg
2 4
Direct
0.4639 0.5361 0.2500 Ce
0.5361 0.4639 0.7500 Ce
0.1267 0.8733 0.2500 Mg
0.7831 0.2169 0.2500 Mg
0.2169 0.7831 0.7500 Mg
0.8733 0.1267 0.7500 Mg
```

Computed properties:
The crystal system is orthorhombic. Its space group is Cmcm (63). The energy of formation comes out at 0.8 kJ per mole of atoms.



# UTlF5

Crystalline UTlF5 at its relaxed geometry (meta-GGA r2SCAN, the Materials Project database).

```
UTlF5
1.0
-7.2461 10.6578 4.7286
-6.2478 -2.0755 -4.8962
-4.3424 -5.0982 4.8365
U Tl F
8 8 40
Direct
0.2541 0.0129 0.9073 U
0.7541 0.9871 0.5927 U
0.7459 0.9871 0.0927 U
0.2459 0.0129 0.4073 U
0.2471 0.4432 0.5388 U
0.7471 0.5568 0.9612 U
0.7529 0.5568 0.4612 U
0.2529 0.4432 0.0388 U
0.5191 0.2320 0.7811 Tl
0.0191 0.7680 0.7189 Tl
0.4809 0.7680 0.2189 Tl
0.9809 0.2320 0.2811 Tl
0.9848 0.2784 0.8081 Tl
0.4848 0.7216 0.6919 Tl
0.0152 0.7216 0.1919 Tl
0.5152 0.2784 0.3081 Tl
0.9027 0.0170 0.0654 F
0.4027 0.9830 0.4346 F
0.0973 0.9830 0.9346 F
0.5973 0.0170 0.5654 F
0.8975 0.4725 0.4172 F
0.3975 0.5275 0.0828 F
0.1025 0.5275 0.5828 F
0.6025 0.4725 0.9172 F
0.5965 0.0696 0.1133 F
0.0965 0.9304 0.3867 F
0.4035 0.9304 0.8867 F
0.9035 0.0696 0.6133 F
0.3096 0.2876 0.3123 F
0.8096 0.7124 0.1877 F
0.6904 0.7124 0.6877 F
0.1904 0.2876 0.8123 F
0.8056 0.4692 0.7314 F
0.3056 0.5308 0.7686 F
0.1944 0.5308 0.2686 F
0.6944 0.4692 0.2314 F
0.7051 0.0847 0.8206 F
0.2051 0.9153 0.6794 F
0.2949 0.9153 0.1794 F
0.7949 0.0847 0.3206 F
0.7364 0.2721 0.5277 F
0.2364 0.7279 0.9723 F
0.2636 0.7279 0.4723 F
0.7636 0.2721 0.0277 F
0.3521 0.2245 0.9818 F
0.8521 0.7755 0.5182 F
0.6479 0.7755 0.0182 F
0.1479 0.2245 0.4818 F
0.4013 0.4786 0.4914 F
0.9013 0.5214 0.0086 F
0.5987 0.5214 0.5086 F
0.0987 0.4786 0.9914 F
0.3152 0.1671 0.6394 F
0.8152 0.8329 0.8606 F
0.6848 0.8329 0.3606 F
0.1848 0.1671 0.1394 F
```

Computed properties:
The crystal system is monoclinic. Its space group is P2_1/c (14). The energy of formation comes out at -335.7 kJ per mole of atoms.



# Li5Mn2P3O12

Crystalline Li5Mn2P3O12 at its relaxed geometry (meta-GGA r2SCAN, the Materials Project database).

```
Li5Mn2P3O12
1.0
8.3600 -0.0137 -0.0674
-4.1372 7.2640 -0.0027
-4.0519 -2.3330 8.0532
Li Mn P O
10 4 6 24
Direct
0.2898 0.4983 0.4004 Li
0.3734 0.0564 0.1055 Li
0.0997 0.2089 0.6031 Li
0.6561 0.1863 0.4043 Li
0.0232 0.3081 0.1007 Li
0.3805 0.8612 0.6024 Li
0.8035 0.7318 0.1506 Li
0.2126 0.2708 0.9043 Li
0.6115 0.9248 0.9019 Li
0.9247 0.6487 0.8567 Li
0.7180 0.8454 0.5646 Mn
0.3007 0.6454 0.9660 Mn
0.6781 0.3439 0.0279 Mn
0.2935 0.1418 0.4370 Mn
0.8066 0.2368 0.7561 P
0.7935 0.0590 0.2492 P
0.4915 0.4402 0.2489 P
0.4906 0.5472 0.7564 P
0.2005 0.9476 0.7542 P
0.1857 0.7347 0.2403 P
0.2849 0.4162 0.1044 O
0.5651 0.5768 0.4047 O
0.3743 0.7694 0.4072 O
0.2481 0.7953 0.1058 O
0.9174 0.1409 0.7388 O
0.6636 0.8654 0.1158 O
0.4300 0.2396 0.2790 O
0.8105 0.0371 0.4183 O
0.9580 0.4547 0.8053 O
0.6761 0.1617 0.1912 O
0.0197 0.1804 0.2730 O
0.6552 0.5039 0.1940 O
0.3312 0.4852 0.8182 O
0.9778 0.8233 0.7324 O
0.3138 0.8402 0.7935 O
0.0181 0.5172 0.1780 O
0.1867 0.0107 0.5979 O
0.5644 0.7482 0.7292 O
0.3335 0.1303 0.9032 O
0.1031 0.8519 0.2691 O
0.7531 0.1809 0.8956 O
0.5966 0.1577 0.5893 O
0.3647 0.3965 0.5884 O
0.6882 0.5525 0.8885 O
```

Computed properties:
The crystal system is triclinic. Its space group is P1 (1). The energy of formation comes out at -239.7 kJ per mole of atoms.



# SrSi

Crystalline SrSi at its relaxed geometry (meta-GGA r2SCAN, the Materials Project database).

```
SrSi
1.0
4.0465 0.0000 0.0000
0.0000 6.1228 0.0000
0.0000 0.0000 8.9117
Sr Si
4 4
Direct
0.2500 0.3916 0.6806 Sr
0.7500 0.6084 0.3194 Sr
0.7500 0.8916 0.8194 Sr
0.2500 0.1084 0.1806 Sr
0.2500 0.8935 0.5328 Si
0.7500 0.1065 0.4672 Si
0.7500 0.3935 0.9672 Si
0.2500 0.6065 0.0328 Si
```

Computed properties:
The crystal system is orthorhombic. Its space group is Pnma (62). The energy of formation comes out at -49.9 kJ per mole of atoms.



# Ba2GeSe4

Crystalline Ba2GeSe4 at its relaxed geometry (meta-GGA r2SCAN, the Materials Project database).

```
Ba2GeSe4
1.0
6.7085 0.0000 -2.3177
0.0000 7.1478 0.0000
0.0041 0.0000 9.2814
Ba Ge Se
4 2 8
Direct
0.7160 0.7500 0.9241 Ba
0.2840 0.2500 0.0759 Ba
0.7862 0.7500 0.4543 Ba
0.2138 0.2500 0.5457 Ba
0.7927 0.2500 0.7112 Ge
0.2073 0.7500 0.2888 Ge
0.0077 0.9920 0.7731 Se
0.9923 0.4920 0.2269 Se
0.9923 0.0080 0.2269 Se
0.0077 0.5080 0.7731 Se
0.6329 0.2500 0.4442 Se
0.3671 0.7500 0.5558 Se
0.5854 0.2500 0.8646 Se
0.4146 0.7500 0.1354 Se
```

Computed properties:
The crystal system is monoclinic. Its space group is P2_1/m (11). The energy of formation comes out at -150.1 kJ per mole of atoms.



# MgGeBi2O6

Crystalline MgGeBi2O6 at its relaxed geometry (meta-GGA r2SCAN, the Materials Project database).

```
MgGeBi2O6
1.0
0.0000 3.8378 3.8378
3.8378 0.0000 3.8378
3.8378 3.8378 0.0000
Mg Ge Bi O
1 1 2 6
Direct
0.0000 0.0000 0.0000 Mg
0.5000 0.5000 0.5000 Ge
0.2500 0.2500 0.2500 Bi
0.7500 0.7500 0.7500 Bi
0.7421 0.2579 0.2579 O
0.2579 0.7421 0.7421 O
0.2579 0.7421 0.2579 O
0.7421 0.2579 0.7421 O
0.2579 0.2579 0.7421 O
0.7421 0.7421 0.2579 O
```

Computed properties:
The crystal system is cubic. Its space group is Fm-3m (225). The energy of formation comes out at -162.8 kJ per mole of atoms.



# RbSrCl3

Crystalline RbSrCl3 at its relaxed geometry (meta-GGA r2SCAN, the Materials Project database).

```
RbSrCl3
1.0
-3.2288 0.9177 6.9018
0.0017 -5.7899 5.0378
5.1644 0.6543 6.5962
Rb Sr Cl
2 2 6
Direct
0.8592 0.8592 0.4224 Rb
0.1408 0.1408 0.5776 Rb
0.6564 0.6564 0.0309 Sr
0.3436 0.3436 0.9691 Sr
0.4685 0.7050 0.7715 Cl
0.0549 0.4685 0.7715 Cl
0.7050 0.0549 0.7715 Cl
0.5315 0.2950 0.2285 Cl
0.2950 0.9451 0.2285 Cl
0.9451 0.5315 0.2285 Cl
```

Computed properties:
The crystal system is trigonal. Its space group is R-3 (148). The energy of formation comes out at -240.7 kJ per mole of atoms.



# Tb6CoBr10

Crystalline Tb6CoBr10 at its relaxed geometry (meta-GGA r2SCAN, the Materials Project database).

```
Tb6CoBr10
1.0
-7.1896 -0.4300 -1.1881
2.9296 -8.4855 -0.0260
-0.4423 2.8534 8.6922
Tb Co Br
6 1 10
Direct
0.0305 0.7145 0.4126 Tb
0.9695 0.2855 0.5874 Tb
0.8765 0.9534 0.7464 Tb
0.1235 0.0466 0.2536 Tb
0.3605 0.1356 0.6790 Tb
0.6395 0.8644 0.3210 Tb
0.0000 0.0000 0.5000 Co
0.4509 0.8166 0.5852 Br
0.5491 0.1834 0.4148 Br
0.9132 0.6273 0.6754 Br
0.0868 0.3727 0.3246 Br
0.2574 0.0867 0.9609 Br
0.7426 0.9133 0.0391 Br
0.3536 0.4601 0.7743 Br
0.6464 0.5399 0.2257 Br
0.7898 0.2610 0.8509 Br
0.2102 0.7390 0.1491 Br
```

Computed properties:
The crystal system is triclinic. Its space group is P-1 (2). The energy of formation comes out at -173.8 kJ per mole of atoms.



# Mn5O8

Crystalline Mn5O8 at its relaxed geometry (meta-GGA r2SCAN, the Materials Project database).

```
Mn5O8
1.0
4.6534 -0.0073 -1.4264
-0.8435 4.9447 -2.7735
-0.0198 -0.0088 5.9088
Mn O
5 8
Direct
0.3387 0.2773 0.5546 Mn
0.6613 0.7227 0.4454 Mn
0.0000 0.2598 0.0000 Mn
0.0000 0.7402 0.0000 Mn
0.5000 0.0000 0.0000 Mn
0.0699 0.3947 0.7892 O
0.9301 0.6053 0.2108 O
0.0879 0.8959 0.7916 O
0.9121 0.1041 0.2084 O
0.3989 0.3387 0.2225 O
0.3988 0.8836 0.2224 O
0.6011 0.6613 0.7775 O
0.6012 0.1164 0.7776 O
```

Computed properties:
The crystal system is monoclinic. Its space group is C2/m (12). The energy of formation comes out at -203.9 kJ per mole of atoms.



# Ti3Nb3Sn2

Crystalline Ti3Nb3Sn2 at its relaxed geometry (meta-GGA r2SCAN, the Materials Project database).

```
Ti3Nb3Sn2
1.0
-3.6183 -1.1695 -3.6653
0.2778 -5.0965 1.3569
-3.8345 0.7402 3.5536
Ti Nb Sn
3 3 2
Direct
0.0000 0.7415 0.2586 Ti
0.7414 0.2585 0.0000 Ti
0.2586 0.0000 0.7414 Ti
0.5000 0.7438 0.2563 Nb
0.7438 0.2562 0.5000 Nb
0.2562 0.5000 0.7437 Nb
0.2443 0.2443 0.2443 Sn
0.7557 0.7557 0.7557 Sn
```

Computed properties:
The crystal system is trigonal. Its space group is R32 (155). The energy of formation comes out at -27.1 kJ per mole of atoms.



# K2Zn2O3

Crystalline K2Zn2O3 at its relaxed geometry (meta-GGA r2SCAN, the Materials Project database).

```
K2Zn2O3
1.0
-0.3589 1.1729 5.7146
-3.7360 -4.8646 0.7637
4.7305 -3.8758 -1.5466
K Zn O
4 4 6
Direct
0.1854 0.6326 0.9272 K
0.1854 0.8674 0.4272 K
0.8146 0.1326 0.5728 K
0.8146 0.3674 0.0728 K
0.3325 0.3860 0.5733 Zn
0.6675 0.8860 0.9267 Zn
0.3325 0.1140 0.0733 Zn
0.6675 0.6140 0.4267 Zn
0.0000 0.5000 0.5000 O
0.0000 0.0000 0.0000 O
0.4103 0.1364 0.7905 O
0.5897 0.6364 0.7095 O
0.4103 0.3636 0.2905 O
0.5897 0.8636 0.2095 O
```

Computed properties:
The crystal system is monoclinic. Its space group is P2_1/c (14). The energy of formation comes out at -150.1 kJ per mole of atoms.